Density functional theory data (GGA-PBE) for a relaxed structure of FeSb6Pb4Se14. Values from VASP.

The structure in Quantum ESPRESSO input format:
```
&SYSTEM
  ibrav = 0, nat = 50, ntyp = 4
/
ATOMIC_SPECIES
Fe 55.84 Fe.upf
Sb 121.76 Sb.upf
Pb 207.20 Pb.upf
Se 78.96 Se.upf
CELL_PARAMETERS angstrom
4.146 0.000 0.000
0.000 20.155 0.000
-0.575 0.000 16.832
ATOMIC_POSITIONS crystal
Fe 0.000 0.000 0.000
Fe 0.000 0.500 0.500
Sb 0.405 0.049 0.603
Sb 0.405 0.451 0.103
Sb 0.409 0.160 0.367
Sb 0.409 0.340 0.867
Sb 0.435 0.566 0.319
Sb 0.435 0.934 0.819
Sb 0.565 0.066 0.181
Sb 0.565 0.434 0.681
Sb 0.591 0.660 0.133
Sb 0.591 0.840 0.633
Sb 0.595 0.549 0.897
Sb 0.595 0.951 0.397
Pb 0.028 0.635 0.690
Pb 0.028 0.865 0.190
Pb 0.048 0.737 0.936
Pb 0.048 0.763 0.436
Pb 0.952 0.237 0.564
Pb 0.952 0.263 0.064
Pb 0.972 0.135 0.810
Pb 0.972 0.365 0.310
Se 0.013 0.105 0.078
Se 0.013 0.395 0.578
Se 0.029 0.503 0.785
Se 0.029 0.997 0.285
Se 0.054 0.599 0.006
Se 0.054 0.901 0.506
Se 0.087 0.703 0.228
Se 0.087 0.797 0.728
Se 0.437 0.227 0.944
Se 0.437 0.273 0.444
Se 0.456 0.163 0.681
Se 0.456 0.337 0.181
Se 0.479 0.043 0.907
Se 0.479 0.457 0.407
Se 0.521 0.543 0.593
Se 0.521 0.957 0.093
Se 0.544 0.663 0.819
Se 0.544 0.837 0.319
Se 0.563 0.727 0.556
Se 0.563 0.773 0.056
Se 0.913 0.203 0.272
Se 0.913 0.297 0.772
Se 0.946 0.099 0.494
Se 0.946 0.401 0.994
Se 0.971 0.003 0.715
Se 0.971 0.497 0.215
Se 0.987 0.605 0.422
Se 0.987 0.895 0.922
```

Computed properties:
Total energy   -4.201 eV per atom
Size of the total moment   8.102 μB/cell

***

Density functional theory data (GGA-PBE) for a relaxed structure of Pr2Zn6Ge3. Values from VASP.

The structure in Quantum ESPRESSO input format:
```
&SYSTEM
  ibrav = 0, nat = 11, ntyp = 3
/
ATOMIC_SPECIES
Pr 140.91 Pr.upf
Zn 65.41 Zn.upf
Ge 72.64 Ge.upf
CELL_PARAMETERS angstrom
7.702 0.000 0.000
-3.851 6.670 0.000
0.000 0.000 4.131
ATOMIC_POSITIONS crystal
Pr 0.333 0.667 0.000
Pr 0.667 0.333 0.000
Zn 0.000 0.189 0.000
Zn 0.000 0.712 0.500
Zn 0.189 0.000 0.000
Zn 0.288 0.288 0.500
Zn 0.712 0.000 0.500
Zn 0.811 0.811 0.000
Ge 0.000 0.381 0.500
Ge 0.381 0.000 0.500
Ge 0.619 0.619 0.500
```

Computed properties:
Total energy   -3.241 eV per atom

***

Density functional theory data (GGA-PBE) for a relaxed structure of Na6Mg8Nb16Si15S21O144. Values from VASP.

The structure in Quantum ESPRESSO input format:
```
&SYSTEM
  ibrav = 0, nat = 210, ntyp = 6
/
ATOMIC_SPECIES
Na 22.99 Na.upf
Mg 24.30 Mg.upf
Nb 92.91 Nb.upf
Si 28.09 Si.upf
S 32.06 S.upf
O 16.00 O.upf
CELL_PARAMETERS angstrom
8.841 0.000 0.000
0.013 15.320 0.000
0.001 0.101 22.910
ATOMIC_POSITIONS crystal
Na 0.000 0.000 0.000
Na 0.001 0.334 0.343
Na 0.492 0.499 0.502
Na 0.497 0.833 0.840
Na 0.504 0.496 0.001
Na 0.995 0.995 0.502
Mg 0.002 0.333 0.493
Mg 0.003 0.001 0.861
Mg 0.006 0.336 0.192
Mg 0.493 0.835 0.691
Mg 0.495 0.500 0.362
Mg 0.504 0.830 0.989
Mg 0.507 0.495 0.861
Mg 0.991 0.994 0.362
Nb 0.001 0.668 0.325
Nb 0.001 0.999 0.647
Nb 0.002 0.337 0.982
Nb 0.016 0.669 0.532
Nb 0.489 0.172 0.027
Nb 0.494 0.496 0.147
Nb 0.497 0.169 0.821
Nb 0.498 0.168 0.538
Nb 0.498 0.835 0.483
Nb 0.502 0.166 0.317
Nb 0.506 0.499 0.651
Nb 0.508 0.827 0.195
Nb 0.989 0.000 0.155
Nb 0.995 0.337 0.692
Nb 0.996 0.665 0.814
Nb 0.998 0.667 0.037
Si 0.135 0.194 0.589
Si 0.143 0.476 0.587
Si 0.203 0.160 0.924
Si 0.223 0.831 0.594
Si 0.276 0.329 0.094
Si 0.297 0.661 0.425
Si 0.361 0.693 0.089
Si 0.639 0.970 0.593
Si 0.641 0.315 0.924
Si 0.709 0.997 0.261
Si 0.720 0.335 0.587
Si 0.782 0.836 0.087
Si 0.783 0.495 0.760
Si 0.858 0.814 0.427
Si 0.859 0.470 0.093
S 0.139 0.144 0.260
S 0.144 0.809 0.924
S 0.144 0.855 0.258
S 0.146 0.526 0.924
S 0.210 0.497 0.260
S 0.289 0.997 0.760
S 0.353 0.025 0.424
S 0.354 0.309 0.424
S 0.354 0.356 0.759
S 0.355 0.976 0.091
S 0.361 0.645 0.760
S 0.642 0.019 0.924
S 0.643 0.690 0.591
S 0.645 0.640 0.258
S 0.647 0.357 0.260
S 0.711 0.667 0.924
S 0.789 0.167 0.424
S 0.850 0.857 0.760
S 0.853 0.518 0.424
S 0.855 0.189 0.091
S 0.856 0.142 0.759
O 0.060 0.223 0.530
O 0.061 0.571 0.582
O 0.069 0.895 0.918
O 0.070 0.430 0.648
O 0.071 0.438 0.929
O 0.072 0.767 0.264
O 0.074 0.231 0.252
O 0.074 0.898 0.205
O 0.075 0.093 0.605
O 0.075 0.566 0.871
O 0.078 0.765 0.977
O 0.079 0.100 0.312
O 0.101 0.076 0.920
O 0.101 0.752 0.580
O 0.106 0.917 0.601
O 0.111 0.251 0.936
O 0.111 0.420 0.254
O 0.112 0.753 0.871
O 0.113 0.578 0.266
O 0.113 0.578 0.976
O 0.114 0.248 0.650
O 0.119 0.089 0.206
O 0.121 0.908 0.310
O 0.134 0.417 0.531
O 0.177 0.676 0.080
O 0.179 0.347 0.034
O 0.179 0.678 0.368
O 0.180 0.650 0.481
O 0.187 0.654 0.769
O 0.189 0.309 0.151
O 0.189 0.315 0.426
O 0.189 0.990 0.102
O 0.190 0.015 0.416
O 0.192 0.341 0.750
O 0.192 0.986 0.811
O 0.194 0.012 0.706
O 0.306 0.511 0.206
O 0.308 0.486 0.311
O 0.308 0.515 0.917
O 0.308 0.844 0.247
O 0.309 0.818 0.929
O 0.310 0.811 0.652
O 0.311 0.153 0.268
O 0.320 0.150 0.980
O 0.320 0.176 0.581
O 0.321 0.177 0.868
O 0.321 0.849 0.534
O 0.322 0.494 0.606
O 0.371 0.923 0.038
O 0.376 0.591 0.707
O 0.379 0.408 0.811
O 0.385 0.078 0.476
O 0.385 0.750 0.149
O 0.386 0.078 0.767
O 0.389 0.752 0.435
O 0.389 0.921 0.754
O 0.391 0.252 0.371
O 0.393 0.415 0.100
O 0.398 0.248 0.079
O 0.399 0.577 0.419
O 0.418 0.601 0.813
O 0.420 0.265 0.476
O 0.421 0.934 0.144
O 0.423 0.067 0.371
O 0.423 0.732 0.753
O 0.424 0.593 0.105
O 0.425 0.396 0.706
O 0.427 0.063 0.084
O 0.428 0.266 0.765
O 0.428 0.938 0.429
O 0.429 0.394 0.416
O 0.436 0.728 0.031
O 0.558 0.407 0.923
O 0.565 0.934 0.928
O 0.569 0.600 0.597
O 0.570 0.267 0.268
O 0.570 0.727 0.539
O 0.571 0.936 0.651
O 0.574 0.258 0.980
O 0.575 0.065 0.871
O 0.575 0.394 0.206
O 0.576 0.069 0.575
O 0.576 0.603 0.310
O 0.576 0.730 0.249
O 0.594 0.918 0.243
O 0.599 0.416 0.603
O 0.601 0.085 0.269
O 0.605 0.250 0.581
O 0.609 0.249 0.867
O 0.614 0.073 0.977
O 0.615 0.588 0.205
O 0.616 0.409 0.311
O 0.616 0.589 0.918
O 0.616 0.914 0.533
O 0.620 0.739 0.645
O 0.622 0.748 0.926
O 0.673 0.488 0.101
O 0.674 0.816 0.435
O 0.679 0.515 0.701
O 0.681 0.819 0.148
O 0.682 0.175 0.370
O 0.686 0.484 0.817
O 0.687 0.150 0.766
O 0.688 0.155 0.475
O 0.689 0.840 0.753
O 0.689 0.860 0.031
O 0.690 0.511 0.414
O 0.693 0.171 0.081
O 0.805 0.356 0.529
O 0.805 0.674 0.581
O 0.807 0.011 0.916
O 0.809 0.339 0.252
O 0.810 0.652 0.264
O 0.811 0.655 0.976
O 0.815 0.317 0.648
O 0.815 0.981 0.314
O 0.816 0.676 0.871
O 0.818 0.015 0.201
O 0.824 0.316 0.935
O 0.825 0.988 0.600
O 0.876 0.248 0.425
O 0.877 0.238 0.145
O 0.881 0.086 0.706
O 0.881 0.573 0.476
O 0.882 0.909 0.812
O 0.883 0.089 0.417
O 0.883 0.414 0.033
O 0.889 0.749 0.367
O 0.893 0.751 0.081
O 0.896 0.584 0.770
O 0.900 0.415 0.747
O 0.903 0.917 0.104
O 0.920 0.229 0.750
O 0.921 0.101 0.811
O 0.922 0.570 0.075
O 0.923 0.566 0.369
O 0.923 0.756 0.481
O 0.923 0.893 0.707
O 0.927 0.226 0.038
O 0.927 0.767 0.768
O 0.928 0.436 0.151
O 0.930 0.433 0.425
O 0.932 0.098 0.098
O 0.938 0.906 0.422
```

Computed properties:
Total energy   -7.157 eV per atom
Size of the total moment   0.000 μB/cell

***

Density functional theory data (GGA-PBE) for a relaxed structure of Cu3Mo12S16. Values from VASP.

The structure in Quantum ESPRESSO input format:
```
&SYSTEM
  ibrav = 0, nat = 31, ntyp = 3
/
ATOMIC_SPECIES
Cu 63.55 Cu.upf
Mo 95.94 Mo.upf
S 32.06 S.upf
CELL_PARAMETERS angstrom
6.520 0.000 0.000
0.950 8.792 0.000
0.226 0.014 9.535
ATOMIC_POSITIONS crystal
Cu 0.000 0.000 0.000
Cu 0.053 0.173 0.732
Cu 0.141 0.576 0.348
Mo 0.281 0.566 0.856
Mo 0.286 0.064 0.354
Mo 0.470 0.160 0.587
Mo 0.472 0.657 0.087
Mo 0.517 0.350 0.018
Mo 0.526 0.850 0.518
Mo 0.612 0.727 0.831
Mo 0.615 0.227 0.326
Mo 0.663 0.421 0.759
Mo 0.665 0.921 0.260
Mo 0.850 0.013 0.491
Mo 0.852 0.515 0.994
S 0.196 0.487 0.102
S 0.198 0.979 0.593
S 0.271 0.831 0.929
S 0.279 0.335 0.419
S 0.340 0.299 0.803
S 0.343 0.793 0.305
S 0.449 0.610 0.631
S 0.450 0.109 0.129
S 0.682 0.969 0.717
S 0.684 0.467 0.216
S 0.787 0.284 0.543
S 0.795 0.785 0.042
S 0.864 0.746 0.417
S 0.865 0.243 0.932
S 0.933 0.590 0.752
S 0.941 0.092 0.246
```

Computed properties:
Total energy   -7.331 eV per atom
Size of the total moment   0.000 μB/cell